# 1
The following is a DFT calculation (PBE-GGA) of a relaxed structure of Li7La3Hf2O12.

a b c (Å): 11.2828 11.2828 11.2828
angles (deg): 108.36 108.36 111.72
Last column: nearest neighbours and their distance in Å.
Fractional positions:
1 O 0.5372 0.6949 0.0503  1 Li 1.93, 1 Hf 2.10
2 Li 0.4284 0.0716 0.0000  2 O 1.96
3 O 0.5131 0.4628 0.1578  1 Li 1.93, 1 Hf 2.10
4 O 0.9179 0.7562 0.2289  3 Li 1.96-2.07, 1 Hf 2.11
5 O 0.3051 0.3554 0.8422  1 Li 1.93, 1 Hf 2.10
6 Li 0.8216 0.6784 0.5000  2 O 1.96
7 Li 0.4062 0.4896 0.7563  3 O 1.89-2.07
8 Li 0.3438 0.6001 0.5834  3 O 1.89-2.07
9 O 0.7438 0.5821 0.7711  3 Li 1.96-2.07, 1 Hf 2.11
10 Li 0.8501 0.7667 0.7563  3 O 1.89-2.07
11 Li 0.0167 0.7604 0.4166  3 O 1.89-2.07
12 O 0.6501 0.2784 0.0737  1 Li 1.89, 1 Hf 2.11
13 La 0.5000 0.0000 0.5000  8 O 2.54-2.64
14 O 0.9390 0.6679 0.6617  3 Li 1.96-2.07, 1 Hf 2.11
15 Hf 0.6250 0.3750 0.2500  6 O 2.10-2.11
16 Li 0.5000 0.5000 0.0000  4 O 1.93
17 O 0.5284 0.9547 0.1283  1 Li 1.89, 1 Hf 2.11
18 Li 0.2396 0.6562 0.2563  3 O 1.89-2.07
19 O 0.7369 0.2872 0.3422  1 Li 1.93, 1 Hf 2.10
20 Li 0.2333 0.9896 0.0834  3 O 1.89-2.07
21 O 0.1054 0.5551 0.3422  1 Li 1.93, 1 Hf 2.10
22 Li 0.8999 0.1562 0.4166  3 O 1.89-2.07
23 Hf 0.6250 0.3750 0.7500  6 O 2.10-2.11
24 Hf 0.1250 0.8750 0.7500  6 O 2.10-2.11
25 Li 0.9062 0.1499 0.9166  3 O 1.89-2.07
26 Li 0.3216 0.8216 0.1432  2 O 1.96
27 O 0.3321 0.9938 0.2711  3 Li 1.96-2.07, 1 Hf 2.11
28 O 0.0273 0.2562 0.8383  3 Li 1.96-2.07, 1 Hf 2.11
29 Hf 0.1250 0.3750 0.2500  6 O 2.10-2.11
30 La 0.3750 0.7536 0.8786  8 O 2.47-2.65
31 O 0.1501 0.0764 0.3717  1 Li 1.89, 1 Hf 2.11
32 O 0.2216 0.8499 0.9263  1 Li 1.89, 1 Hf 2.11
33 O 0.2227 0.4938 0.6617  3 Li 1.96-2.07, 1 Hf 2.11
34 O 0.4449 0.7872 0.5503  1 Li 1.93, 1 Hf 2.10
35 Li 0.0104 0.0938 0.2437  3 O 1.89-2.07
36 O 0.5062 0.1679 0.7289  3 Li 1.96-2.07, 1 Hf 2.11
37 Li 0.6784 0.1784 0.8568  2 O 1.96
38 Li 0.7333 0.6499 0.2437  3 O 1.89-2.07
39 O 0.8110 0.9727 0.2289  3 Li 1.96-2.07, 1 Hf 2.11
40 La 0.7500 0.7500 0.0000  8 O 2.54-2.64
41 O 0.5273 0.6890 0.7711  3 Li 1.96-2.07, 1 Hf 2.11
42 O 0.7128 0.0551 0.4497  1 Li 1.93, 1 Hf 2.10
43 La 0.5036 0.6250 0.3786  8 O 2.47-2.65
44 O 0.7227 0.0610 0.7289  3 Li 1.96-2.07, 1 Hf 2.11
45 O 0.0999 0.6736 0.1283  1 Li 1.89, 1 Hf 2.11
46 Li 0.5104 0.2667 0.9166  3 O 1.89-2.07
47 Hf 0.1250 0.8750 0.2500  6 O 2.10-2.11
48 La 0.8750 0.9964 0.6214  8 O 2.47-2.65
49 La 0.3750 0.2536 0.3786  8 O 2.47-2.65
50 O 0.3264 0.4547 0.4263  1 Li 1.89, 1 Hf 2.11
51 Li 0.5167 0.1001 0.2563  3 O 1.89-2.07
52 Li 0.2500 0.7500 0.5000  4 O 1.93
53 Hf 0.6250 0.8750 0.2500  6 O 2.10-2.11
54 O 0.7216 0.7953 0.3717  1 Li 1.89, 1 Hf 2.11
55 Li 0.9284 0.9284 0.3568  2 O 1.96
56 O 0.4390 0.7773 0.2711  3 Li 1.96-2.07, 1 Hf 2.11
57 O 0.2047 0.5764 0.9263  1 Li 1.89, 1 Hf 2.11
58 O 0.6054 0.2631 0.5503  1 Li 1.93, 1 Hf 2.10
59 O 0.8321 0.5610 0.3383  3 Li 1.96-2.07, 1 Hf 2.11
60 Li 0.7500 0.2500 0.5000  4 O 1.93
61 O 0.9236 0.2953 0.0737  1 Li 1.89, 1 Hf 2.11
62 O 0.5999 0.4716 0.4263  1 Li 1.89, 1 Hf 2.11
63 O 0.5453 0.9716 0.8717  1 Li 1.89, 1 Hf 2.11
64 O 0.3110 0.0821 0.8383  3 Li 1.96-2.07, 1 Hf 2.11
65 O 0.1446 0.1949 0.1578  1 Li 1.93, 1 Hf 2.10
66 O 0.7047 0.7784 0.6283  1 Li 1.89, 1 Hf 2.11
67 La 0.8750 0.4964 0.1214  8 O 2.47-2.65
68 La 0.0000 0.5000 0.5000  8 O 2.54-2.64
69 La 0.2464 0.1250 0.6214  8 O 2.47-2.65
70 O 0.0453 0.1736 0.5737  1 Li 1.89, 1 Hf 2.11
71 O 0.9449 0.3946 0.6578  1 Li 1.93, 1 Hf 2.10
72 O 0.8051 0.9628 0.9497  1 Li 1.93, 1 Hf 2.10
73 O 0.2369 0.8946 0.4497  1 Li 1.93, 1 Hf 2.10
74 Li 0.7396 0.4833 0.5834  3 O 1.89-2.07
75 Li 0.0000 0.0000 0.0000  4 O 1.93
76 Li 0.5716 0.5716 0.6432  2 O 1.96
77 O 0.8264 0.4001 0.8717  1 Li 1.89, 1 Hf 2.11
78 O 0.0062 0.2773 0.3383  3 Li 1.96-2.07, 1 Hf 2.11
79 La 0.2500 0.2500 0.0000  8 O 2.54-2.64
80 O 0.0372 0.9869 0.8422  1 Li 1.93, 1 Hf 2.10
81 O 0.4236 0.3499 0.6283  1 Li 1.89, 1 Hf 2.11
82 La 0.0036 0.6250 0.8786  8 O 2.47-2.65
83 Li 0.1784 0.3216 0.5000  2 O 1.96
84 O 0.0131 0.8554 0.0503  1 Li 1.93, 1 Hf 2.10
85 Li 0.3999 0.9833 0.7437  3 O 1.89-2.07
86 O 0.2438 0.4727 0.1617  3 Li 1.96-2.07, 1 Hf 2.11
87 O 0.0284 0.9001 0.5737  1 Li 1.89, 1 Hf 2.11
88 O 0.4179 0.1890 0.1617  3 Li 1.96-2.07, 1 Hf 2.11
89 O 0.2128 0.7631 0.6578  1 Li 1.93, 1 Hf 2.10
90 Hf 0.1250 0.3750 0.7500  6 O 2.10-2.11
91 Li 0.3501 0.5938 0.0834  3 O 1.89-2.07
92 O 0.6446 0.4869 0.9497  1 Li 1.93, 1 Hf 2.10
93 La 0.7464 0.1250 0.1214  8 O 2.47-2.65
94 Hf 0.6250 0.8750 0.7500  6 O 2.10-2.11
95 Li 0.8438 0.2604 0.7437  3 O 1.89-2.07
96 Li 0.0716 0.4284 0.0000  2 O 1.96

Values from the calculation:
- Energy: -702.6 eV/cell
- Space group: No. 142



# 2
The following is a DFT calculation (PBE-GGA) of a relaxed structure of LaHfMg14.

a b c (Å): 6.5751 6.4082 10.4130
angles (deg): 90.00 90.00 119.16
Last column: nearest neighbours and their distance in Å.
Fractional positions:
1 Mg 0.3366 0.1611 0.3824  10 Mg 3.11-3.36, 1 Hf 3.24, 1 La 3.30
2 Mg 0.6629 0.3289 0.1250  8 Mg 3.17-3.27, 2 Hf 3.22-3.36, 2 La 3.28-3.30
3 Mg 0.6657 0.8320 0.6250  12 Mg 3.12-3.29
4 Mg 0.1661 0.3331 0.6250  12 Mg 3.17-3.29
5 Mg 0.3366 0.6755 0.8676  10 Mg 3.11-3.36, 1 Hf 3.24, 1 La 3.30
6 Mg 0.3366 0.6755 0.3824  10 Mg 3.11-3.36, 1 Hf 3.24, 1 La 3.30
7 Mg 0.8267 0.1634 0.3835  11 Mg 3.12-3.36, 1 La 3.31
8 Mg 0.6629 0.8340 0.1250  8 Mg 3.17-3.27, 2 Hf 3.22-3.36, 2 La 3.28-3.30
9 Mg 0.8371 0.6686 0.8784  11 Mg 3.20-3.31, 1 Hf 3.22
10 Mg 0.6657 0.3336 0.6250  12 Mg 3.12-3.29
11 Mg 0.8267 0.1634 0.8665  11 Mg 3.12-3.36, 1 La 3.31
12 Mg 0.3366 0.1611 0.8676  10 Mg 3.11-3.36, 1 Hf 3.24, 1 La 3.30
13 La 0.1628 0.3314 0.1250  2 Hf 3.20, 10 Mg 3.28-3.31
14 Mg 0.1649 0.8325 0.6250  12 Mg 3.13-3.29
15 Hf 0.1748 0.8374 0.1250  2 La 3.20, 10 Mg 3.22-3.36
16 Mg 0.8371 0.6686 0.3716  11 Mg 3.20-3.31, 1 Hf 3.22

Values from the calculation:
- Distance to the lowest polymorph of the same formula: 0.0 meV/atom
- Space group: No. 38



# 3
The following is a DFT calculation (PBE-GGA) of a relaxed structure of LaHfMg6.

a b c (Å): 5.2388 6.6175 11.4685
angles (deg): 90.00 90.00 90.00
Last column: nearest neighbours and their distance in Å.
Fractional positions:
1 Mg 0.0000 0.5000 0.3306  10 Mg 3.23-3.39, 2 Hf 3.26
2 Mg 0.0000 0.0000 0.8306  10 Mg 3.23-3.39, 2 Hf 3.26
3 Mg 0.0000 0.2627 0.0840  8 Mg 3.14-3.48, 2 Hf 3.18, 2 La 3.28
4 Mg 0.0000 0.5000 0.8406  10 Mg 3.20-3.42, 2 La 3.31
5 Mg 0.0000 0.0000 0.3406  10 Mg 3.20-3.42, 2 La 3.31
6 La 0.5000 0.5000 0.6647  10 Mg 3.28-3.33, 2 Hf 3.31
7 Mg 0.0000 0.7627 0.5840  8 Mg 3.14-3.48, 2 Hf 3.18, 2 La 3.28
8 Hf 0.5000 0.0000 0.6620  10 Mg 3.18-3.36, 2 La 3.31
9 Mg 0.0000 0.2373 0.5840  8 Mg 3.14-3.48, 2 Hf 3.18, 2 La 3.28
10 Hf 0.5000 0.5000 0.1620  10 Mg 3.18-3.36, 2 La 3.31
11 Mg 0.0000 0.7373 0.0840  8 Mg 3.14-3.48, 2 Hf 3.18, 2 La 3.28
12 Mg 0.5000 0.2511 0.9170  8 Mg 3.22-3.32, 2 Hf 3.26-3.36, 2 La 3.29-3.33
13 Mg 0.5000 0.2489 0.4170  8 Mg 3.22-3.32, 2 Hf 3.26-3.36, 2 La 3.29-3.33
14 La 0.5000 0.0000 0.1647  10 Mg 3.28-3.33, 2 Hf 3.31
15 Mg 0.5000 0.7511 0.4170  8 Mg 3.22-3.32, 2 Hf 3.26-3.36, 2 La 3.29-3.33
16 Mg 0.5000 0.7489 0.9170  8 Mg 3.22-3.32, 2 Hf 3.26-3.36, 2 La 3.29-3.33

Values from the calculation:
- Distance to the lowest polymorph of the same formula: 7.0 meV/atom



# 4
The following is a DFT calculation (PBE-GGA) of a relaxed structure of LaHfMg14.

a b c (Å): 6.5910 6.5910 10.2177
angles (deg): 90.00 90.00 120.00
Last column: nearest neighbours and their distance in Å.
Fractional positions:
1 Mg 0.6661 0.8339 0.6250  10 Mg 3.10-3.31, 2 Hf 3.30
2 Mg 0.8293 0.1646 0.8658  10 Mg 3.10-3.34, 1 Hf 3.12, 1 La 3.27
3 Mg 0.3354 0.6707 0.3842  10 Mg 3.10-3.34, 1 Hf 3.12, 1 La 3.27
4 Mg 0.8293 0.1646 0.3842  10 Mg 3.10-3.34, 1 Hf 3.12, 1 La 3.27
5 Mg 0.1761 0.8381 0.1250  10 Mg 3.19-3.39, 2 La 3.30
6 Mg 0.3354 0.1646 0.3842  10 Mg 3.10-3.34, 1 Hf 3.12, 1 La 3.27
7 Mg 0.1678 0.8339 0.6250  10 Mg 3.10-3.31, 2 Hf 3.30
8 Mg 0.6661 0.3322 0.6250  10 Mg 3.10-3.31, 2 Hf 3.30
9 Mg 0.6619 0.3239 0.1250  10 Mg 3.19-3.39, 2 La 3.30
10 Mg 0.3354 0.1646 0.8658  10 Mg 3.10-3.34, 1 Hf 3.12, 1 La 3.27
11 La 0.1667 0.3333 0.1250  12 Mg 3.27-3.30
12 Mg 0.8333 0.6667 0.8786  12 Mg 3.19-3.30
13 Mg 0.8333 0.6667 0.3714  12 Mg 3.19-3.30
14 Hf 0.1667 0.3333 0.6250  12 Mg 3.12-3.30
15 Mg 0.6619 0.8381 0.1250  10 Mg 3.19-3.39, 2 La 3.30
16 Mg 0.3354 0.6707 0.8658  10 Mg 3.10-3.34, 1 Hf 3.12, 1 La 3.27

Values from the calculation:
- Distance to the lowest polymorph of the same formula: 21.8 meV/atom
- Space group: No. 187



# 5
The following is a DFT calculation (PBE-GGA) of a relaxed structure of LaHfMg6.

a b c (Å): 5.2125 6.6354 11.4623
angles (deg): 90.00 90.00 90.00
Last column: nearest neighbours and their distance in Å.
Fractional positions:
1 Mg 0.5000 0.2565 0.0810  8 Mg 3.21-3.40, 2 Hf 3.25-3.37, 2 La 3.28
2 Mg 0.5000 0.7435 0.0810  8 Mg 3.21-3.40, 2 Hf 3.25-3.37, 2 La 3.28
3 Mg 0.0000 0.7420 0.9160  2 Hf 3.20, 8 Mg 3.21-3.42, 2 La 3.23-3.40
4 Mg 0.0000 0.5000 0.1651  10 Mg 3.21-3.35, 2 La 3.32
5 La 0.0000 0.0000 0.1719  2 Hf 3.21, 10 Mg 3.23-3.40
6 Mg 0.0000 0.2580 0.9160  2 Hf 3.20, 8 Mg 3.21-3.42, 2 La 3.23-3.40
7 Hf 0.5000 0.0000 0.3347  10 Mg 3.20-3.37, 2 La 3.21
8 Mg 0.0000 0.7580 0.4160  2 Hf 3.20, 8 Mg 3.21-3.42, 2 La 3.23-3.40
9 Mg 0.0000 0.2420 0.4160  2 Hf 3.20, 8 Mg 3.21-3.42, 2 La 3.23-3.40
10 Mg 0.5000 0.7565 0.5810  8 Mg 3.21-3.40, 2 Hf 3.25-3.37, 2 La 3.28
11 Mg 0.0000 0.0000 0.6651  10 Mg 3.21-3.35, 2 La 3.32
12 Mg 0.5000 0.5000 0.3345  10 Mg 3.25-3.32, 2 Hf 3.32
13 Mg 0.5000 0.0000 0.8345  10 Mg 3.25-3.32, 2 Hf 3.32
14 Mg 0.5000 0.2435 0.5810  8 Mg 3.21-3.40, 2 Hf 3.25-3.37, 2 La 3.28
15 La 0.0000 0.5000 0.6719  2 Hf 3.21, 10 Mg 3.23-3.40
16 Hf 0.5000 0.5000 0.8347  10 Mg 3.20-3.37, 2 La 3.21

Values from the calculation:
- Distance to the lowest polymorph of the same formula: 0.0 meV/atom



# 6
The following is a DFT calculation (PBE-GGA) of a relaxed structure of La8Hf4MgO20.

a b c (Å): 11.3616 12.0447 3.9491
angles (deg): 90.00 90.00 90.07
Last column: nearest neighbours and their distance in Å.
Fractional positions:
1 O 0.2659 0.2309 0.2500  1 Hf 2.03
2 O 0.7472 0.6273 0.2500  2 Hf 2.22, 1 Mg 2.31
3 O 0.7302 0.1224 0.7500  2 Hf 2.05
4 O 0.5030 0.4009 0.7500  4 La 2.47-2.50
5 La 0.3610 0.5560 0.7500  7 O 2.46-2.54
6 La 0.1070 0.7026 0.2500  6 O 2.44-2.72
7 O 0.7710 0.4582 0.7500  1 Hf 2.01
8 O 0.4871 0.6079 0.2500  3 La 2.28-2.52
9 Hf 0.8349 0.6139 0.7500  3 O 1.95-2.10
10 Hf 0.1769 0.3769 0.2500  5 O 1.95-2.08
11 O 0.2326 0.5383 0.2500  1 Hf 2.04
12 O 0.5129 0.1593 0.2500  1 Hf 1.97
13 La 0.1413 0.0666 0.2500  6 O 2.42-2.61
14 O 0.2595 0.8814 0.2500  2 Hf 2.07
15 Mg 0.8389 0.7986 0.2500  4 O 2.01-2.22
16 O 0.0291 0.1129 0.7500  4 La 2.35-2.59
17 O 0.7777 0.7794 0.7500  1 Hf 2.10, 2 Mg 2.11
18 O 0.7253 0.9487 0.2500  1 Hf 2.13, 1 Mg 2.22
19 La 0.6319 0.4405 0.2500  7 O 2.38-2.60
20 O 0.4810 0.8296 0.7500  1 Hf 1.98
21 Hf 0.6809 0.1200 0.2500  5 O 1.97-2.13
22 La 0.8876 0.2818 0.7500  7 O 2.51-2.62
23 La 0.8778 0.9792 0.7500  4 O 2.35-2.52
24 O 0.2323 0.7268 0.7500  1 Hf 2.02
25 O 0.7501 0.2771 0.2500  1 Hf 2.05
26 La 0.3943 0.2200 0.7500  7 O 2.46-2.65
27 O 0.2805 0.0416 0.7500  1 Hf 2.03
28 O 0.2357 0.3813 0.7500  2 Hf 2.08
29 O 0.0104 0.3389 0.2500  1 Hf 1.95
30 La 0.5840 0.7742 0.2500  3 O 2.28-2.39
31 O 0.9836 0.8955 0.2500  1 Mg 2.01
32 Hf 0.3137 0.8762 0.7500  5 O 1.98-2.07
33 O 0.0061 0.6128 0.7500  1 Hf 1.95

Values from the calculation:
- Distance to the lowest polymorph of the same formula: 64.4 meV/atom
- Space group: No. 6